[1]
# MgTi2Si2Ag4O10

A geometry-optimized MgTi2Si2Ag4O10 structure (PBE, the Materials Project).

Computed properties:
* total magnetization: 0.00 μB/cell
* formation enthalpy at 0 K: -2.16 eV/atom

Cell lengths 6.6421, 6.6421, 5.8691 Å; angles 90.00, 90.00, 90.00 degrees
Last column: nearest neighbours and their distance in Å.
Space group P-4m2 (No. 115)
Unique sites:
Mg (0.0000, 0.0000, 0.0000) x1  4 O 2.29
Ti (0.0000, 0.5000, 0.4203) x2  1 O 1.69
Si (0.0000, 0.0000, 0.5000) x1  4 O 1.66
Si (0.5000, 0.5000, 0.5000) x1  4 O 1.65
Ag (0.2889, 0.2889, 0.0000) x4  2 O 2.46, 1 Mg 2.71
O (0.0000, 0.1955, 0.3224) x4  1 Si 1.66
O (0.0000, 0.5000, 0.7079) x2  1 Ti 1.69
O (0.2926, 0.5000, 0.3445) x4  1 Si 1.65

---

[2]
# Th3Fe33C4

A geometry-optimized Th3Fe33C4 structure (PBE, the Materials Project).

Computed properties:
* total magnetization: 135.71 μB/cell
* formation enthalpy at 0 K: -0.03 eV/atom

Cell lengths 6.5117, 7.8702, 21.7656 Å; angles 86.08, 81.54, 65.61 degrees
Last column: nearest neighbours and their distance in Å.
Space group P-1 (No. 2)
Unique sites:
Th (0.0456, 0.2426, 0.4168) x2  2 C 2.68-2.70
Th (0.2878, 0.7524, 0.9175) x2  3 C 2.66-2.69
Th (0.3790, 0.2477, 0.7494) x2  3 C 2.66-2.69
Fe (0.0000, 0.5000, 0.0000) x1  10 Fe 2.42-2.65
Fe (0.0428, 0.1722, 0.8616) x2  1 C 1.86
Fe (0.0663, 0.6767, 0.8064) x2  1 C 1.87
Fe (0.0725, 0.3236, 0.6400) x2  1 C 1.89
Fe (0.0938, 0.4165, 0.2759) x2  1 C 1.86
Fe (0.1159, 0.1706, 0.9741) x2  10 Fe 2.43-2.69
Fe (0.1231, 0.0753, 0.5575) x2  10 Fe 2.43-2.67
Fe (0.1263, 0.7514, 0.2506) x2  12 Fe 2.65-2.75
Fe (0.1349, 0.0784, 0.2764) x2  10 Fe 2.44-2.70
Fe (0.1516, 0.4197, 0.8922) x2  1 C 1.87
Fe (0.1660, 0.9999, 0.6666) x2  10 Fe 2.41-2.66
Fe (0.1668, 0.0000, 0.1668) x2  10 Fe 2.42-2.65
Fe (0.1669, 0.4999, 0.1668) x2  10 Fe 2.44-2.70
Fe (0.1774, 0.5843, 0.4422) x2  1 C 1.86
Fe (0.1980, 0.9221, 0.0569) x2  10 Fe 2.44-2.69
Fe (0.2055, 0.9224, 0.7748) x2  1 C 1.87
Fe (0.2065, 0.2483, 0.0828) x2  12 Fe 2.65-2.75
Fe (0.2186, 0.8331, 0.3602) x2  10 Fe 2.44-2.72
Fe (0.2391, 0.5839, 0.0576) x2  1 C 1.86
Fe (0.2607, 0.6763, 0.6925) x2  1 C 1.88
Fe (0.2711, 0.3220, 0.5268) x2  1 C 1.89
Fe (0.2821, 0.8325, 0.4733) x2  10 Fe 2.45-2.73
Fe (0.3333, 0.5011, 0.3336) x2  10 Fe 2.42-2.67
Fe (0.3762, 0.1722, 0.1947) x2  1 C 1.86
Fe (0.3995, 0.6765, 0.1398) x2  1 C 1.87
Fe (0.4052, 0.3241, 0.9740) x2  1 C 1.88
Fe (0.4285, 0.4158, 0.6087) x2  1 C 1.86
Fe (0.4476, 0.1711, 0.3074) x2  10 Fe 2.45-2.71
Fe (0.4570, 0.7532, 0.5833) x2  12 Fe 2.64-2.76
Fe (0.4614, 0.0775, 0.8918) x2  1 C 1.88
Fe (0.4696, 0.0746, 0.6096) x2  10 Fe 2.44-2.67
Fe (0.4855, 0.4191, 0.2257) x2  1 C 1.87
Fe (0.5000, 0.0000, 0.0000) x1  10 Fe 2.41-2.66
Fe (0.5000, 0.0000, 0.5000) x1  10 Fe 2.41-2.64
Fe (0.5000, 0.5000, 0.5000) x1  10 Fe 2.43-2.69
C (0.0000, 0.5000, 0.5000) x1  4 Fe 1.86-1.89
C (0.1666, 0.5006, 0.6663) x2  4 Fe 1.86-1.89
C (0.3332, 0.9997, 0.8333) x2  4 Fe 1.86-1.88
C (0.3335, 0.5000, 0.8333) x2  4 Fe 1.87
C (0.5000, 0.5000, 0.0000) x1  4 Fe 1.86-1.88

---

[3]
# RbCu4Se3

A geometry-optimized RbCu4Se3 structure (PBE, the Materials Project).

Computed properties:
* formation enthalpy at 0 K: -0.53 eV/atom

Cell lengths 4.0536, 4.0536, 10.0504 Å; angles 90.00, 90.00, 90.00 degrees
Last column: nearest neighbours and their distance in Å.
Space group P4/mmm (No. 123)
Unique sites:
Rb (0.0000, 0.0000, 0.0000) x1  8 Se 3.58
Cu (0.0000, 0.5000, 0.3466) x4  4 Se 2.43-2.55
Se (0.0000, 0.0000, 0.5000) x1  8 Cu 2.55
Se (0.5000, 0.5000, 0.2127) x2  4 Cu 2.43

---

[4]
# Sm2Ni22C3

A geometry-optimized Sm2Ni22C3 structure (PBE, the Materials Project).

Computed properties:
* total magnetization: 4.46 μB/cell
* formation enthalpy at 0 K: -0.12 eV/atom

Cell lengths 11.3484, 14.9973, 14.6111 Å; angles 90.00, 90.00, 90.00 degrees
Last column: nearest neighbours and their distance in Å.
Space group Cmce (No. 64)
Unique sites:
Sm (0.0000, 0.2071, 0.0281) x8  13 Ni 2.80-3.13
Sm (0.2500, 0.0645, 0.7500) x8  20 Ni 3.05-3.22, 4 C 3.05-3.40
Ni (0.0000, 0.0000, 0.0000) x4  10 Ni 2.41-2.65
Ni (0.0000, 0.0000, 0.5000) x4  12 Ni 2.32-2.55
Ni (0.0000, 0.0021, 0.3252) x8  1 C 1.85
Ni (0.0000, 0.0606, 0.8422) x8  1 C 1.90
Ni (0.0000, 0.1435, 0.4129) x8  13 Ni 2.48-2.74
Ni (0.0000, 0.1586, 0.7118) x8  9 Ni 2.40-2.49
Ni (0.0000, 0.1801, 0.2334) x8  1 C 1.91
Ni (0.1086, 0.2131, 0.8436) x16  1 C 1.92
Ni (0.1114, 0.1198, 0.5779) x16  1 C 1.92
Ni (0.1274, 0.0758, 0.1307) x16  1 C 1.89
Ni (0.1700, 0.1237, 0.2990) x16  6 Ni 2.29-2.56, 1 C 2.54
Ni (0.1751, 0.0771, 0.9501) x16  1 C 1.90
Ni (0.1759, 0.0358, 0.4274) x16  9 Ni 2.29-2.54
Ni (0.1794, 0.2493, 0.6819) x16  1 C 1.91
Ni (0.2210, 0.1887, 0.4515) x16  2 C 1.95-1.97
C (0.0000, 0.0547, 0.2108) x8  5 Ni 1.85-1.91
C (0.2448, 0.1874, 0.9165) x16  6 Ni 1.90-1.97